[1]
Entry from the Materials Project: a relaxed BaMgVO3 crystal (PBE+U).

Properties
distance to the lowest polymorph of the same formula = 251 meV/atom

Lattice parameters (Å, degrees): 4.568 4.568 4.604 98.55 98.55 81.66
Fractional coordinates of all 6 atoms:
Ba 0.000 0.000 0.000
Mg 0.358 0.358 0.639
V 0.641 0.641 0.357
O 0.119 0.617 0.383
O 0.615 0.615 0.883
O 0.617 0.119 0.383

[2]
Entry from the Materials Project: a relaxed Ba3MgV2O8 crystal (PBE+U).

Properties
distance to the lowest polymorph of the same formula = 153 meV/atom

Lattice parameters (Å, degrees): 6.456 6.456 7.581 109.09 109.09 56.25
Fractional coordinates of all 14 atoms:
Ba 0.000 0.000 0.000
Ba 0.087 0.087 0.539
Ba 0.744 0.744 0.348
Mg 0.390 0.390 0.848
V 0.340 0.340 0.202
V 0.569 0.569 0.745
O 0.190 0.684 0.259
O 0.215 0.215 0.296
O 0.225 0.679 0.692
O 0.253 0.253 0.935
O 0.583 0.583 0.003
O 0.679 0.225 0.692
O 0.684 0.190 0.259
O 0.698 0.698 0.671

[3]
Entry from the Materials Project: a relaxed BaMg6VO8 crystal (PBE+U).

Properties
distance to the lowest polymorph of the same formula = 0 meV/atom

Lattice parameters (Å, degrees): 4.661 4.661 8.855 90.00 90.00 90.00
Fractional coordinates of all 16 atoms:
Ba 0.000 0.000 0.000
Mg 0.000 0.000 0.500
Mg 0.000 0.500 0.267
Mg 0.000 0.500 0.733
Mg 0.500 0.000 0.267
Mg 0.500 0.000 0.733
Mg 0.500 0.500 0.500
V 0.500 0.500 0.000
O 0.000 0.000 0.283
O 0.000 0.000 0.717
O 0.000 0.500 0.000
O 0.000 0.500 0.500
O 0.500 0.000 0.000
O 0.500 0.000 0.500
O 0.500 0.500 0.258
O 0.500 0.500 0.742

[4]
Entry from the Materials Project: a relaxed Ba3MgV2O8 crystal (PBE+U).

Properties
distance to the lowest polymorph of the same formula = 0 meV/atom

Lattice parameters (Å, degrees): 6.176 6.179 7.888 112.81 93.69 114.87
Fractional coordinates of all 14 atoms:
Ba 0.000 0.000 0.000
Ba 0.046 0.226 0.587
Ba 0.406 0.769 0.176
Mg 0.527 0.709 0.589
V 0.588 0.193 0.831
V 0.766 0.525 0.345
O 0.381 0.321 0.893
O 0.420 0.407 0.329
O 0.487 0.864 0.849
O 0.541 0.020 0.565
O 0.833 0.256 0.282
O 0.862 0.745 0.611
O 0.874 0.771 0.260
O 0.919 0.385 0.914

[5]
Entry from the Materials Project: a relaxed BaMgV2ZnO8 crystal (PBE+U).

Properties
total DFT energy (no corrections) = -6.767 eV/atom

Lattice parameters (Å, degrees): 9.922 9.922 9.922 128.79 100.75 100.78
Fractional coordinates of all 52 atoms:
Ba 0.250 0.125 0.375
Ba 0.250 0.625 0.875
Ba 0.750 0.375 0.125
Ba 0.750 0.875 0.625
Mg 0.087 0.295 0.044
Mg 0.251 0.043 0.956
Mg 0.587 0.543 0.792
Mg 0.751 0.795 0.208
V 0.079 0.000 0.580
V 0.080 0.580 0.500
V 0.420 0.499 0.420
V 0.421 0.421 0.000
V 0.579 0.999 0.080
V 0.580 0.080 0.500
V 0.920 0.500 0.920
V 0.921 0.921 0.000
Zn 0.250 0.708 0.294
Zn 0.414 0.957 0.706
Zn 0.750 0.457 0.543
Zn 0.914 0.208 0.457
O 0.084 0.524 0.293
O 0.086 0.061 0.792
O 0.086 0.185 0.595
O 0.086 0.402 0.491
O 0.090 0.685 0.099
O 0.090 0.907 0.991
O 0.231 0.791 0.707
O 0.231 0.941 0.525
O 0.269 0.294 0.208
O 0.269 0.475 0.059
O 0.410 0.009 0.094
O 0.410 0.902 0.315
O 0.415 0.209 0.941
O 0.415 0.407 0.816
O 0.415 0.509 0.599
O 0.416 0.706 0.475
O 0.584 0.291 0.560
O 0.586 0.095 0.685
O 0.586 0.794 0.025
O 0.586 0.992 0.901
O 0.590 0.492 0.405
O 0.590 0.599 0.184
O 0.731 0.024 0.440
O 0.731 0.206 0.290
O 0.769 0.561 0.975
O 0.769 0.709 0.794
O 0.910 0.595 0.509
O 0.910 0.816 0.401
O 0.915 0.099 0.009
O 0.915 0.316 0.906
O 0.915 0.975 0.206
O 0.916 0.441 0.710

[6]
Entry from the Materials Project: a relaxed Ba3MgWO6 crystal (PBE+U).

Properties
distance to the lowest polymorph of the same formula = 2 meV/atom

Lattice parameters (Å, degrees): 6.144 6.144 7.364 113.76 113.76 60.31
Fractional coordinates of all 11 atoms:
Ba 0.000 0.000 0.000
Ba 0.593 0.593 0.782
Ba 0.803 0.803 0.394
Mg 0.186 0.186 0.542
W 0.322 0.322 0.949
O 0.048 0.547 0.083
O 0.095 0.095 0.725
O 0.105 0.547 0.720
O 0.534 0.534 0.100
O 0.547 0.048 0.083
O 0.547 0.105 0.720

[7]
Entry from the Materials Project: a relaxed Ba3MgWO6 crystal (PBE+U).

Properties
distance to the lowest polymorph of the same formula = 148 meV/atom

Lattice parameters (Å, degrees): 7.183 7.183 7.183 51.00 51.00 51.00
Fractional coordinates of all 11 atoms:
Ba 0.000 0.000 0.000
Ba 0.192 0.192 0.192
Ba 0.655 0.655 0.655
Mg 0.837 0.837 0.837
W 0.476 0.476 0.476
O 0.229 0.709 0.709
O 0.267 0.267 0.733
O 0.267 0.733 0.267
O 0.709 0.229 0.709
O 0.709 0.709 0.229
O 0.733 0.267 0.267

[8]
Entry from the Materials Project: a relaxed Ba3MgWO6 crystal (PBE+U).

Properties
distance to the lowest polymorph of the same formula = 0 meV/atom

Lattice parameters (Å, degrees): 6.048 6.048 7.634 113.13 113.13 60.02
Fractional coordinates of all 11 atoms:
Ba 0.000 0.000 0.000
Ba 0.588 0.588 0.761
Ba 0.791 0.791 0.374
Mg 0.176 0.176 0.525
W 0.310 0.310 0.927
O 0.039 0.514 0.064
O 0.095 0.095 0.727
O 0.095 0.540 0.725
O 0.513 0.513 0.064
O 0.514 0.039 0.064
O 0.540 0.095 0.725

[9]
Entry from the Materials Project: a relaxed Ba3MgWO6 crystal (PBE+U).

Properties
distance to the lowest polymorph of the same formula = 225 meV/atom

Lattice parameters (Å, degrees): 6.699 6.699 6.699 124.04 122.37 84.54
Fractional coordinates of all 11 atoms:
Ba 0.000 0.000 0.000
Ba 0.189 0.689 0.500
Ba 0.811 0.311 0.500
Mg 0.500 0.000 0.500
W 0.500 0.500 0.000
O 0.286 0.286 0.000
O 0.292 0.250 0.542
O 0.292 0.750 0.042
O 0.708 0.250 0.958
O 0.708 0.750 0.458
O 0.714 0.714 0.000

[10]
Entry from the Materials Project: a relaxed BaNaNdMnO6 crystal (PBE+U).

Properties
distance to the lowest polymorph of the same formula = 0 meV/atom

Lattice parameters (Å, degrees): 5.984 5.984 5.984 60.00 60.00 60.00
Fractional coordinates of all 10 atoms:
Ba 0.000 0.000 0.000
Na 0.500 0.500 0.500
Nd 0.250 0.250 0.250
Mn 0.750 0.750 0.750
O 0.524 0.524 0.976
O 0.524 0.976 0.524
O 0.524 0.976 0.976
O 0.976 0.524 0.524
O 0.976 0.524 0.976
O 0.976 0.976 0.524

[11]
Entry from the Materials Project: a relaxed BaNaNdMnO6 crystal (PBE+U).

Properties
distance to the lowest polymorph of the same formula = 14 meV/atom

Lattice parameters (Å, degrees): 8.441 8.462 8.483 90.00 90.00 90.00
Fractional coordinates of all 40 atoms:
Ba 0.250 0.250 0.250
Ba 0.250 0.250 0.750
Ba 0.750 0.750 0.250
Ba 0.750 0.750 0.750
Na 0.250 0.750 0.250
Na 0.250 0.750 0.750
Na 0.750 0.250 0.250
Na 0.750 0.250 0.750
Nd 0.000 0.000 0.000
Nd 0.000 0.500 0.500
Nd 0.500 0.000 0.500
Nd 0.500 0.500 0.000
Mn 0.000 0.000 0.500
Mn 0.000 0.500 0.000
Mn 0.500 0.000 0.000
Mn 0.500 0.500 0.500
O 0.008 0.726 0.015
O 0.008 0.774 0.485
O 0.015 0.515 0.774
O 0.015 0.985 0.726
O 0.226 0.020 0.488
O 0.226 0.480 0.012
O 0.274 0.020 0.012
O 0.274 0.480 0.488
O 0.485 0.515 0.726
O 0.485 0.985 0.774
O 0.492 0.726 0.485
O 0.492 0.774 0.015
O 0.508 0.226 0.985
O 0.508 0.274 0.515
O 0.515 0.015 0.226
O 0.515 0.485 0.274
O 0.726 0.520 0.512
O 0.726 0.980 0.988
O 0.774 0.520 0.988
O 0.774 0.980 0.512
O 0.985 0.015 0.274
O 0.985 0.485 0.226
O 0.992 0.226 0.515
O 0.992 0.274 0.985

[12]
Entry from the Materials Project: a relaxed BaNaPrMnO6 crystal (PBE+U).

Properties
total DFT energy (no corrections) = -6.387 eV/atom

Lattice parameters (Å, degrees): 8.435 8.461 8.478 90.00 90.00 90.00
Fractional coordinates of all 40 atoms:
Ba 0.250 0.250 0.250
Ba 0.250 0.250 0.750
Ba 0.750 0.750 0.250
Ba 0.750 0.750 0.750
Na 0.250 0.750 0.250
Na 0.250 0.750 0.750
Na 0.750 0.250 0.250
Na 0.750 0.250 0.750
Pr 0.000 0.000 0.000
Pr 0.000 0.500 0.500
Pr 0.500 0.000 0.500
Pr 0.500 0.500 0.000
Mn 0.000 0.000 0.500
Mn 0.000 0.500 0.000
Mn 0.500 0.000 0.000
Mn 0.500 0.500 0.500
O 0.017 0.724 0.026
O 0.017 0.776 0.474
O 0.024 0.524 0.775
O 0.024 0.976 0.725
O 0.225 0.028 0.482
O 0.225 0.472 0.018
O 0.275 0.028 0.018
O 0.275 0.472 0.482
O 0.476 0.524 0.725
O 0.476 0.976 0.775
O 0.483 0.724 0.474
O 0.483 0.776 0.026
O 0.517 0.224 0.974
O 0.517 0.276 0.526
O 0.524 0.024 0.225
O 0.524 0.476 0.275
O 0.725 0.528 0.518
O 0.725 0.972 0.982
O 0.775 0.528 0.982
O 0.775 0.972 0.518
O 0.976 0.024 0.275
O 0.976 0.476 0.225
O 0.983 0.224 0.526
O 0.983 0.276 0.974